## CaMgC2O6 (r²SCAN)

Data for an optimized crystal structure of CaMgC2O6.

```
CaMgC2O6
1.0
2.037 -2.291 -3.724
-1.320 -5.317 2.379
-8.689 -1.365 -7.088
Mg O Ca C
3 18 3 6
Direct
0.167 0.833 0.667 Mg
0.340 0.673 0.348 Mg
0.993 0.994 0.985 Mg
0.981 0.243 0.489 O
0.424 0.362 0.423 O
0.667 0.577 0.197 O
0.084 0.519 0.249 O
0.267 0.971 0.259 O
0.018 0.525 0.744 O
0.352 0.424 0.844 O
0.317 0.919 0.829 O
0.668 0.830 0.406 O
0.665 0.836 0.928 O
0.561 0.688 0.594 O
0.666 0.090 0.136 O
0.773 0.979 0.740 O
0.066 0.696 0.074 O
0.016 0.747 0.504 O
0.316 0.141 0.589 O
0.249 0.148 0.085 O
0.910 0.304 0.910 O
0.829 0.179 0.312 Ca
0.667 0.333 0.667 Ca
0.504 0.488 0.021 Ca
0.094 0.419 0.833 C
0.938 0.603 0.174 C
0.239 0.247 0.500 C
0.395 0.063 0.159 C
0.749 0.757 0.501 C
0.585 0.910 0.832 C
```

Properties
* E_form: -222.2 kJ per mole of atoms

---

## CaMg3C4O12 (r²SCAN)

Data for an optimized crystal structure of CaMg3C4O12.

```
CaMg3C4O12
1.0
0.000 -4.725 0.000
1.006 2.363 -3.967
9.648 2.363 3.853
O C Ca Mg
12 4 1 3
Direct
0.018 0.148 0.619 O
0.749 0.601 0.619 O
0.492 0.584 0.859 O
0.528 0.129 0.381 O
0.251 0.399 0.381 O
0.725 0.092 0.141 O
0.982 0.852 0.381 O
0.049 0.633 0.141 O
0.508 0.416 0.141 O
0.951 0.367 0.859 O
0.275 0.908 0.859 O
0.472 0.871 0.619 O
0.254 0.127 0.381 C
0.762 0.381 0.143 C
0.746 0.873 0.619 C
0.238 0.619 0.857 C
0.000 0.000 0.000 Ca
0.509 0.755 0.264 Mg
0.000 0.500 0.500 Mg
0.491 0.245 0.736 Mg
```

Properties
* distance to the lowest polymorph of the same formula: 0.0 meV per atom
* E_form: -217.5 kJ per mole of atoms

---

## CaMgC2O6 (r²SCAN)

Data for an optimized crystal structure of CaMgC2O6.

```
CaMgC2O6
1.0
1.018 2.394 -4.021
5.478 2.454 0.000
6.410 -9.683 -4.142
Mg O C Ca
3 18 6 3
Direct
0.333 0.333 0.667 Mg
0.661 0.673 0.824 Mg
0.006 0.994 0.510 Mg
0.403 0.663 0.583 O
0.232 0.240 0.517 O
0.850 0.569 0.677 O
0.626 0.289 0.434 O
0.082 0.078 0.171 O
0.489 0.237 0.992 O
0.817 0.098 0.656 O
0.940 0.677 0.075 O
0.726 0.989 0.258 O
0.264 0.004 0.750 O
0.152 0.939 0.352 O
0.762 0.771 0.505 O
0.905 0.895 0.828 O
0.585 0.588 0.163 O
0.434 0.426 0.817 O
0.515 0.728 0.981 O
0.177 0.430 0.341 O
0.041 0.378 0.899 O
0.680 0.665 0.072 C
0.986 0.002 0.261 C
0.995 0.999 0.745 C
0.672 0.668 0.589 C
0.346 0.317 0.431 C
0.321 0.350 0.903 C
0.649 0.654 0.344 Ca
0.333 0.333 0.167 Ca
0.018 0.013 0.990 Ca
```

Properties
* E_form: -220.7 kJ per mole of atoms

---

## CaMg3C4O12 (r²SCAN)

Data for an optimized crystal structure of CaMg3C4O12.

```
CaMg3C4O12
1.0
6.318 -0.030 -3.989
4.309 4.728 3.908
4.359 -4.781 3.917
O Mg C Ca
24 6 8 2
Direct
0.621 0.888 0.252 O
0.393 0.614 0.274 O
0.892 0.247 0.614 O
0.392 0.747 0.614 O
0.379 0.112 0.748 O
0.381 0.229 0.116 O
0.121 0.388 0.252 O
0.893 0.114 0.274 O
0.619 0.771 0.884 O
0.107 0.886 0.726 O
0.247 0.111 0.395 O
0.769 0.380 0.122 O
0.879 0.612 0.748 O
0.747 0.611 0.395 O
0.607 0.386 0.726 O
0.119 0.271 0.884 O
0.231 0.620 0.878 O
0.731 0.120 0.878 O
0.269 0.880 0.122 O
0.108 0.753 0.386 O
0.253 0.389 0.605 O
0.608 0.253 0.386 O
0.881 0.729 0.116 O
0.753 0.889 0.605 O
0.000 0.500 0.000 Mg
0.500 0.000 0.000 Mg
0.000 0.000 0.500 Mg
0.500 0.000 0.500 Mg
0.000 0.500 0.500 Mg
0.500 0.500 0.500 Mg
0.243 0.751 0.738 C
0.751 0.758 0.745 C
0.251 0.258 0.745 C
0.749 0.742 0.255 C
0.757 0.249 0.262 C
0.249 0.242 0.255 C
0.257 0.749 0.262 C
0.743 0.251 0.738 C
0.500 0.500 0.000 Ca
0.000 0.000 0.000 Ca
```

Properties
* distance to the lowest polymorph of the same formula: 9.9 meV per atom
* E_form: -216.5 kJ per mole of atoms

---

## CaMgC2O6 (r²SCAN)

Data for an optimized crystal structure of CaMgC2O6.

```
CaMgC2O6
1.0
-1.028 -2.414 4.053
5.529 -2.348 0.003
4.589 4.834 4.043
Ca O Mg C
2 12 2 4
Direct
0.000 0.000 0.500 Ca
0.000 0.000 0.000 Ca
0.766 0.000 0.250 O
0.369 0.154 0.126 O
0.251 0.500 0.750 O
0.154 0.386 0.392 O
0.846 0.386 0.892 O
0.234 0.000 0.750 O
0.846 0.614 0.608 O
0.369 0.846 0.374 O
0.631 0.154 0.626 O
0.749 0.500 0.250 O
0.631 0.846 0.874 O
0.154 0.614 0.108 O
0.500 0.500 0.500 Mg
0.500 0.500 0.000 Mg
0.982 0.500 0.750 C
0.498 0.000 0.750 C
0.502 0.000 0.250 C
0.018 0.500 0.250 C
```

Properties
* E_form: -220.0 kJ per mole of atoms

---

## CaMgC2O6 (r²SCAN)

Data for an optimized crystal structure of CaMgC2O6.

```
CaMgC2O6
1.0
1.015 2.384 -4.003
-5.513 -2.428 -0.004
-0.969 7.225 4.057
O Mg C Ca
12 2 4 2
Direct
0.405 0.250 0.375 O
0.592 0.731 0.647 O
0.972 0.195 0.236 O
0.466 0.221 0.002 O
0.027 0.305 0.514 O
0.111 0.769 0.103 O
0.889 0.250 0.875 O
0.454 0.710 0.246 O
0.523 0.744 0.985 O
0.494 0.279 0.748 O
0.994 0.790 0.504 O
0.029 0.756 0.765 O
0.251 0.506 0.756 Mg
0.995 0.994 0.994 Mg
0.137 0.250 0.375 C
0.614 0.250 0.875 C
0.872 0.755 0.639 C
0.366 0.745 0.111 C
0.530 0.001 0.505 Ca
0.779 0.499 0.245 Ca
```

Properties
* E_form: -221.1 kJ per mole of atoms

---

## CaMgC2O6 (r²SCAN)

Data for an optimized crystal structure of CaMgC2O6.

```
CaMgC2O6
1.0
-1.052 2.403 4.058
-4.513 4.813 -4.003
-5.479 -7.151 0.046
C O Mg Ca
6 18 3 3
Direct
0.510 0.755 0.006 C
0.149 0.420 0.324 C
0.844 0.589 0.670 C
0.145 0.892 0.320 C
0.861 0.086 0.675 C
0.486 0.254 0.003 C
0.003 0.990 0.226 O
0.980 0.154 0.584 O
0.246 0.510 0.236 O
0.884 0.427 0.328 O
0.009 0.997 0.776 O
0.610 0.850 0.924 O
0.591 0.101 0.659 O
0.780 0.518 0.779 O
0.104 0.602 0.666 O
0.312 0.359 0.928 O
0.318 0.323 0.409 O
0.018 0.813 0.402 O
0.682 0.658 0.093 O
0.389 0.149 0.079 O
0.642 0.645 0.565 O
0.753 0.254 0.001 O
0.241 0.755 0.003 O
0.419 0.880 0.340 O
0.003 0.000 0.002 Mg
0.005 0.514 0.009 Mg
0.649 0.650 0.323 Mg
0.664 0.148 0.333 Ca
0.343 0.850 0.658 Ca
0.357 0.356 0.676 Ca
```

Properties
* E_form: -221.0 kJ per mole of atoms

---

## Ca15MgC16O48 (r²SCAN)

Data for an optimized crystal structure of Ca15MgC16O48.

```
Ca15MgC16O48
1.0
-2.529 6.923 -10.219
2.032 -1.690 -12.319
-7.637 -1.632 -9.888
O Ca C Mg
48 15 16 1
Direct
0.891 0.749 0.491 O
0.248 0.004 0.372 O
0.489 0.628 0.253 O
0.134 0.751 0.495 O
0.256 0.996 0.623 O
0.251 0.509 0.109 O
0.494 0.636 0.752 O
0.000 0.891 0.743 O
0.636 0.752 0.494 O
0.511 0.372 0.747 O
0.623 0.256 0.996 O
0.003 0.114 0.773 O
0.886 0.227 0.997 O
0.743 0.000 0.891 O
0.744 0.004 0.377 O
0.377 0.744 0.004 O
0.996 0.628 0.752 O
0.227 0.997 0.886 O
0.109 0.257 0.000 O
0.372 0.248 0.004 O
0.248 0.506 0.364 O
0.004 0.372 0.248 O
0.249 0.505 0.866 O
0.891 0.743 0.000 O
0.114 0.773 0.003 O
0.747 0.511 0.372 O
0.751 0.495 0.134 O
0.509 0.109 0.251 O
0.495 0.134 0.751 O
0.109 0.251 0.509 O
0.253 0.489 0.628 O
0.372 0.747 0.511 O
0.505 0.866 0.249 O
0.749 0.491 0.891 O
0.866 0.249 0.505 O
0.996 0.623 0.256 O
0.491 0.891 0.749 O
0.997 0.886 0.227 O
0.628 0.253 0.489 O
0.752 0.996 0.628 O
0.364 0.248 0.506 O
0.257 0.000 0.109 O
0.773 0.003 0.114 O
0.752 0.494 0.636 O
0.628 0.752 0.996 O
0.000 0.109 0.257 O
0.506 0.364 0.248 O
0.004 0.377 0.744 O
0.000 0.500 0.000 Ca
0.239 0.755 0.251 Ca
0.245 0.749 0.761 Ca
0.500 0.000 0.000 Ca
0.251 0.251 0.251 Ca
0.251 0.239 0.755 Ca
0.755 0.251 0.239 Ca
0.761 0.245 0.749 Ca
0.000 0.000 0.500 Ca
0.500 0.500 0.500 Ca
0.749 0.749 0.749 Ca
0.749 0.761 0.245 Ca
0.500 0.000 0.500 Ca
0.000 0.500 0.500 Ca
0.500 0.500 0.000 Ca
0.872 0.378 0.375 C
0.636 0.123 0.120 C
0.627 0.627 0.627 C
0.122 0.122 0.122 C
0.378 0.375 0.872 C
0.128 0.622 0.625 C
0.880 0.364 0.877 C
0.373 0.373 0.373 C
0.120 0.636 0.123 C
0.123 0.120 0.636 C
0.364 0.877 0.880 C
0.625 0.128 0.622 C
0.878 0.878 0.878 C
0.622 0.625 0.128 C
0.877 0.880 0.364 C
0.375 0.872 0.378 C
0.000 0.000 0.000 Mg
```

Properties
* E_form: -231.5 kJ per mole of atoms

---

Electronic total energy for the records above, in order: -269.89; -176.08; -269.44; -351.77; -179.48; -179.70; -269.52; -747.56 eV/cell